VASP calculation (GGA+U) on crystalline MgVAg3O4 at its relaxed geometry.

- theoretical density (g cm⁻³) = 4.82
- distance to the lowest polymorph of the same formula (meV per atom) = 0.0
- SG = Cm
- formation enthalpy at 0 K (eV per atom) = -1.36
- spin magnetization (μB/cell) = 1.07

Unit cell a=6.143 b=6.143 c=5.660 alpha=108.04 beta=108.04 gamma=114.51
Sites, in units of the cell vectors:
O1 0.737 0.984 0.724
O2 0.984 0.737 0.724
O3 0.916 0.916 0.248
O4 0.346 0.346 0.161
Ag1 0.323 0.323 0.702
Ag2 0.365 0.830 0.744
Ag3 0.830 0.365 0.744
Mg1 0.705 0.705 0.389
V1 0.031 0.031 0.032

VASP calculation (GGA+U) on crystalline Li4Fe3Ni2O10 at its relaxed geometry.

- theoretical density (g cm⁻³) = 4.36
- SG = P1
- formation enthalpy at 0 K (eV per atom) = -1.61
- spin magnetization (μB/cell) = 16.00

Unit cell a=5.100 b=5.099 c=7.748 alpha=71.25 beta=108.75 gamma=100.18
Sites, in units of the cell vectors:
O1 0.548 0.763 0.338
O2 0.325 0.787 0.936
O3 0.790 0.769 0.755
O4 0.432 0.211 0.658
O5 0.117 0.795 0.532
O6 0.879 0.228 0.466
O7 0.032 0.236 0.854
O8 0.946 0.755 0.137
O9 0.677 0.223 0.071
O10 0.235 0.258 0.229
Li1 0.618 0.487 0.226
Li2 0.797 0.511 0.589
Li3 0.504 0.980 0.509
Li4 0.225 0.487 0.429
Ni1 0.898 0.000 0.306
Ni2 0.100 0.008 0.692
Fe1 0.307 0.998 0.114
Fe2 0.000 0.500 0.993
Fe3 0.681 0.998 0.886

VASP calculation (GGA+U) on crystalline NaCaZrFeSi2O8F at its relaxed geometry.

- theoretical density (g cm⁻³) = 3.60
- SG = P2_1/c
- formation enthalpy at 0 K (eV per atom) = -3.17
- spin magnetization (μB/cell) = 16.00

Unit cell a=10.053 b=7.282 c=10.949 alpha=71.97 beta=90.00 gamma=90.00
Sites, in units of the cell vectors:
O1 0.257 0.664 0.517
O2 0.780 0.907 0.979
O3 0.984 0.822 0.153
O4 0.829 0.549 0.130
O5 0.243 0.664 0.017
O6 0.516 0.822 0.653
O7 0.016 0.178 0.847
O8 0.486 0.730 0.375
O9 0.514 0.270 0.625
O10 0.513 0.041 0.117
O11 0.246 0.794 0.253
O12 0.484 0.178 0.347
O13 0.171 0.451 0.870
O14 0.720 0.907 0.479
O15 0.234 0.217 0.259
O16 0.280 0.093 0.521
O17 0.754 0.206 0.747
O18 0.013 0.959 0.383
O19 0.743 0.336 0.483
O20 0.671 0.549 0.630
O21 0.734 0.783 0.241
O22 0.220 0.093 0.021
O23 0.014 0.730 0.875
O24 0.746 0.206 0.247
O25 0.329 0.451 0.370
O26 0.766 0.783 0.741
O27 0.254 0.794 0.753
O28 0.487 0.959 0.883
O29 0.986 0.270 0.125
O30 0.266 0.217 0.759
O31 0.987 0.041 0.617
O32 0.757 0.336 0.983
F1 0.004 0.410 0.383
F2 0.504 0.590 0.117
F3 0.996 0.590 0.617
F4 0.496 0.410 0.883
Zr1 0.400 0.021 0.713
Zr2 0.100 0.021 0.213
Zr3 0.600 0.979 0.287
Zr4 0.900 0.979 0.787
Si1 0.172 0.670 0.882
Si2 0.328 0.670 0.382
Si3 0.828 0.330 0.118
Si4 0.169 0.219 0.880
Si5 0.672 0.330 0.618
Si6 0.331 0.219 0.380
Si7 0.831 0.781 0.120
Si8 0.669 0.781 0.620
Na1 0.383 0.338 0.072
Na2 0.883 0.662 0.428
Na3 0.117 0.338 0.572
Na4 0.617 0.662 0.928
Ca1 0.607 0.475 0.304
Ca2 0.893 0.475 0.804
Ca3 0.393 0.525 0.696
Ca4 0.107 0.525 0.196
Fe1 0.873 0.134 0.442
Fe2 0.373 0.866 0.058
Fe3 0.127 0.866 0.558
Fe4 0.627 0.134 0.942

VASP calculation (GGA+U) on crystalline Li6V3P8O29 at its relaxed geometry.

- theoretical density (g cm⁻³) = 2.59
- distance to the lowest polymorph of the same formula (meV per atom) = 7.8
- SG = C2
- formation enthalpy at 0 K (eV per atom) = -2.65
- spin magnetization (μB/cell) = 6.00

Unit cell a=9.787 b=9.787 c=13.978 alpha=89.65 beta=89.65 gamma=60.02
Sites, in units of the cell vectors:
O1 0.533 0.380 0.417
O2 0.772 0.000 0.820
O3 0.996 0.801 0.502
O4 0.918 0.745 0.092
O5 0.344 0.324 0.725
O6 0.082 0.664 0.908
O7 0.331 0.480 0.572
O8 0.909 0.472 0.077
O9 0.813 0.509 0.424
O10 0.738 0.920 0.590
O11 0.491 0.187 0.576
O12 0.218 0.000 0.679
O13 0.665 0.080 0.408
O14 0.190 0.323 0.581
O15 0.619 0.908 0.078
O16 0.253 0.665 0.411
O17 0.211 0.796 0.822
O18 0.204 0.789 0.178
O19 0.743 0.338 0.091
O20 0.920 0.335 0.592
O21 0.335 0.747 0.589
O22 0.794 0.001 0.001
O23 0.912 0.621 0.583
O24 0.679 0.513 0.922
O25 0.670 0.668 0.774
O26 0.332 0.330 0.226
O27 0.092 0.381 0.922
O28 0.000 0.231 0.817
O29 0.780 0.218 0.681
O30 0.769 0.000 0.183
O31 0.620 0.467 0.583
O32 0.662 0.257 0.909
O33 0.381 0.540 0.917
O34 0.676 0.656 0.275
O35 0.487 0.321 0.078
O36 0.782 0.220 0.319
O37 0.080 0.262 0.410
O38 0.084 0.536 0.422
O39 0.510 0.811 0.920
O40 0.210 0.014 0.316
O41 0.528 0.091 0.923
O42 0.199 0.004 0.498
O43 0.000 0.228 0.180
O44 0.000 0.782 0.321
O45 0.464 0.916 0.578
O46 0.336 0.918 0.092
O47 0.810 0.681 0.922
O48 0.319 0.190 0.078
O49 0.189 0.490 0.080
O50 0.460 0.619 0.083
O51 0.999 0.206 0.999
O52 0.201 0.799 0.000
O53 0.986 0.790 0.684
O54 0.379 0.088 0.417
O55 0.799 0.201 0.500
O56 0.520 0.669 0.428
O57 0.255 0.082 0.908
O58 0.677 0.810 0.419
Li1 0.764 0.899 0.313
Li2 0.101 0.236 0.687
Li3 0.668 0.234 0.192
Li4 0.102 0.661 0.194
Li5 0.054 0.958 0.265
Li6 0.237 0.098 0.190
Li7 0.901 0.335 0.312
Li8 0.665 0.099 0.688
Li9 0.042 0.946 0.735
Li10 0.766 0.332 0.808
Li11 0.339 0.898 0.806
Li12 0.902 0.763 0.810
P1 0.668 0.664 0.381
P2 0.685 0.088 0.908
P3 0.771 0.913 0.093
P4 0.309 0.913 0.589
P5 0.087 0.229 0.907
P6 0.222 0.091 0.406
P7 0.223 0.695 0.906
P8 0.087 0.691 0.411
P9 0.689 0.226 0.408
P10 0.774 0.311 0.592
P11 0.332 0.332 0.119
P12 0.336 0.332 0.619
P13 0.912 0.315 0.092
P14 0.305 0.777 0.094
P15 0.668 0.668 0.881
P16 0.909 0.778 0.594
V1 0.432 0.999 0.000
V2 0.562 0.438 0.000
V3 0.001 0.568 0.000
V4 0.563 0.001 0.499
V5 0.999 0.437 0.501
V6 0.434 0.566 0.500

VASP calculation (GGA+U) on crystalline AlV2O4 at its relaxed geometry.

- theoretical density (g cm⁻³) = 4.29
- distance to the lowest polymorph of the same formula (meV per atom) = 34.4
- SG = Cm
- formation enthalpy at 0 K (eV per atom) = -2.73
- spin magnetization (μB/cell) = 15.99

Unit cell a=5.893 b=5.980 c=10.411 alpha=71.95 beta=90.01 gamma=119.49
Sites, in units of the cell vectors:
O1 0.372 0.244 0.380
O2 0.631 0.262 0.122
O3 0.624 0.759 0.123
O4 0.865 0.242 0.876
O5 0.872 0.244 0.380
O6 0.369 0.739 0.383
O7 0.369 0.737 0.878
O8 0.135 0.759 0.123
O9 0.124 0.248 0.127
O10 0.631 0.261 0.617
O11 0.880 0.761 0.372
O12 0.378 0.242 0.876
O13 0.128 0.755 0.620
O14 0.877 0.753 0.873
O15 0.120 0.239 0.628
O16 0.626 0.755 0.620
V1 0.754 0.509 0.249
V2 0.262 0.002 0.250
V3 0.261 0.998 0.749
V4 0.738 0.998 0.749
V5 0.245 0.490 0.752
V6 0.001 0.001 0.999
V7 0.500 0.001 0.500
V8 0.740 0.002 0.250
Al1 0.311 0.623 0.064
Al2 0.817 0.635 0.557
Al3 0.183 0.365 0.443
Al4 0.689 0.379 0.936

VASP calculation (GGA+U) on crystalline Li4MnFe3P4O16 at its relaxed geometry.

- theoretical density (g cm⁻³) = 3.42
- distance to the lowest polymorph of the same formula (meV per atom) = 0.0
- SG = Pc
- formation enthalpy at 0 K (eV per atom) = -2.52
- spin magnetization (μB/cell) = 34.00

Unit cell a=10.515 b=7.736 c=7.745 alpha=75.91 beta=90.00 gamma=90.00
Sites, in units of the cell vectors:
O1 0.917 0.585 0.368
O2 0.415 0.119 0.836
O3 0.084 0.585 0.868
O4 0.151 0.255 0.995
O5 0.291 0.478 0.772
O6 0.413 0.615 0.334
O7 0.413 0.415 0.128
O8 0.652 0.246 0.005
O9 0.207 0.522 0.226
O10 0.917 0.382 0.165
O11 0.849 0.255 0.495
O12 0.414 0.914 0.637
O13 0.348 0.746 0.005
O14 0.348 0.243 0.506
O15 0.849 0.755 0.995
O16 0.710 0.479 0.271
O17 0.290 0.979 0.271
O18 0.084 0.382 0.665
O19 0.585 0.619 0.836
O20 0.587 0.115 0.334
O21 0.587 0.915 0.128
O22 0.793 0.522 0.729
O23 0.083 0.085 0.368
O24 0.916 0.085 0.868
O25 0.916 0.882 0.665
O26 0.207 0.022 0.729
O27 0.652 0.743 0.506
O28 0.151 0.755 0.495
O29 0.586 0.414 0.637
O30 0.793 0.022 0.226
O31 0.709 0.978 0.772
O32 0.083 0.882 0.165
Fe1 0.533 0.863 0.887
Fe2 0.033 0.138 0.613
Fe3 0.968 0.138 0.112
Fe4 0.467 0.363 0.887
Fe5 0.032 0.638 0.112
Fe6 0.967 0.638 0.613
Mn1 0.467 0.865 0.386
Mn2 0.533 0.365 0.386
Li1 0.249 0.250 0.250
Li2 0.750 0.000 0.500
Li3 0.751 0.750 0.250
Li4 0.751 0.500 0.000
Li5 0.250 0.500 0.500
Li6 0.249 0.000 0.000
Li7 0.750 0.250 0.750
Li8 0.250 0.750 0.750
P1 0.345 0.083 0.669
P2 0.847 0.417 0.333
P3 0.153 0.917 0.333
P4 0.344 0.584 0.164
P5 0.846 0.916 0.834
P6 0.656 0.084 0.164
P7 0.655 0.583 0.669
P8 0.154 0.416 0.834